Entry 1:
Compound: LiV2OF5
Source: the Materials Project
Functional: GGA+U
Structure: relaxed

Computed properties:
Crystal system ... monoclinic
Uncorrected energy ... -111.52 eV/cell
ΔE_f ... -3.06 eV per atom

Lattice parameters (Å, degrees): 4.725 4.725 9.337 89.25 89.98 89.99
Fractional coordinates of all 18 atoms:
1 Li 0.999 0.008 0.005
2 Li 0.501 0.507 0.505
3 V 0.978 0.983 0.665
4 V 0.510 0.510 0.823
5 V 0.522 0.483 0.165
6 V 0.989 0.010 0.323
7 O 0.800 0.205 0.179
8 O 0.700 0.705 0.679
9 F 0.697 0.696 0.000
10 F 0.803 0.196 0.500
11 F 0.210 0.790 0.170
12 F 0.290 0.290 0.670
13 F 0.701 0.698 0.332
14 F 0.799 0.198 0.832
15 F 0.302 0.300 0.330
16 F 0.198 0.799 0.830
17 F 0.185 0.811 0.495
18 F 0.315 0.311 0.995

Entry 2:
Compound: Li2VOF5
Source: the Materials Project
Functional: GGA+U
Structure: relaxed

Computed properties:
Crystal system ... monoclinic
Uncorrected energy ... -97.87 eV/cell
ΔE_f ... -2.91 eV per atom

Lattice parameters (Å, degrees): 5.294 5.097 9.007 57.34 90.00 90.00
Fractional coordinates of all 18 atoms:
1 Li 0.813 0.742 0.247
2 Li 0.754 0.513 0.998
3 Li 0.187 0.742 0.747
4 Li 0.246 0.513 0.498
5 V 0.736 0.027 0.497
6 V 0.264 0.027 0.997
7 O 0.583 0.345 0.446
8 O 0.417 0.345 0.946
9 F 0.296 0.081 0.775
10 F 0.547 0.761 0.079
11 F 0.055 0.657 0.049
12 F 0.048 0.228 0.438
13 F 0.814 0.874 0.733
14 F 0.704 0.081 0.275
15 F 0.453 0.761 0.579
16 F 0.945 0.657 0.549
17 F 0.952 0.228 0.938
18 F 0.186 0.874 0.233

Entry 3:
Compound: LiVOF3
Source: the Materials Project
Functional: GGA+U
Structure: relaxed

Computed properties:
Crystal system ... orthorhombic
Uncorrected energy ... -142.11 eV/cell
ΔE_f ... -2.94 eV per atom

Lattice parameters (Å, degrees): 5.144 6.033 9.903 90.00 90.00 90.00
Fractional coordinates of all 24 atoms:
1 Li 0.570 0.830 0.131
2 Li 0.930 0.170 0.631
3 Li 0.070 0.670 0.869
4 Li 0.430 0.330 0.369
5 V 0.691 0.633 0.594
6 V 0.809 0.367 0.094
7 V 0.191 0.867 0.406
8 V 0.309 0.133 0.906
9 O 0.629 0.162 0.022
10 O 0.871 0.838 0.522
11 O 0.129 0.338 0.978
12 O 0.371 0.662 0.478
13 F 0.503 0.731 0.740
14 F 0.552 0.493 0.212
15 F 0.713 0.353 0.507
16 F 0.787 0.647 0.007
17 F 0.948 0.507 0.712
18 F 0.997 0.269 0.240
19 F 0.003 0.769 0.260
20 F 0.052 0.007 0.788
21 F 0.213 0.147 0.493
22 F 0.287 0.853 0.993
23 F 0.448 0.993 0.288
24 F 0.497 0.231 0.760

Entry 4:
Compound: Li2VO2F
Source: the Materials Project
Functional: GGA+U
Structure: relaxed

Computed properties:
Crystal system ... monoclinic
Uncorrected energy ... -147.47 eV/cell
ΔE_f ... -2.62 eV per atom

Lattice parameters (Å, degrees): 3.032 7.371 10.339 88.45 90.00 90.00
Fractional coordinates of all 24 atoms:
1 Li 0.500 0.873 0.677
2 Li 0.500 0.842 0.171
3 Li 0.500 0.159 0.335
4 Li 0.500 0.128 0.812
5 Li 0.000 0.842 0.420
6 Li 0.000 0.880 0.915
7 Li 0.000 0.157 0.086
8 Li 0.000 0.134 0.592
9 V 0.500 0.499 0.007
10 V 0.500 0.498 0.496
11 V 0.000 0.501 0.251
12 V 0.000 0.482 0.740
13 O 0.500 0.345 0.666
14 O 0.500 0.347 0.169
15 O 0.500 0.652 0.331
16 O 0.000 0.348 0.415
17 O 0.000 0.370 0.919
18 O 0.000 0.655 0.083
19 O 0.000 0.640 0.581
20 O 0.000 0.996 0.751
21 F 0.500 0.652 0.828
22 F 0.500 0.003 0.011
23 F 0.500 0.997 0.491
24 F 0.000 0.000 0.251

Entry 5:
Compound: Li4V7O9F7
Source: the Materials Project
Functional: GGA+U
Structure: relaxed

Computed properties:
Crystal system ... monoclinic
Uncorrected energy ... -181.70 eV/cell
ΔE_f ... -2.74 eV per atom

Lattice parameters (Å, degrees): 6.025 6.025 10.629 73.20 73.20 59.95
Fractional coordinates of all 27 atoms:
1 Li 0.994 0.994 0.990
2 Li 0.385 0.385 0.882
3 Li 0.877 0.877 0.378
4 Li 0.490 0.490 0.491
5 V 0.704 0.704 0.927
6 V 0.941 0.415 0.692
7 V 0.943 0.440 0.193
8 V 0.415 0.941 0.692
9 V 0.429 0.429 0.199
10 V 0.187 0.187 0.436
11 V 0.440 0.943 0.193
12 O 0.572 0.572 0.285
13 O 0.789 0.789 0.065
14 O 0.286 0.286 0.568
15 O 0.590 0.590 0.811
16 O 0.083 0.083 0.802
17 O 0.081 0.534 0.311
18 O 0.534 0.081 0.311
19 O 0.081 0.081 0.308
20 O 0.310 0.310 0.084
21 F 0.823 0.320 0.559
22 F 0.558 0.053 0.813
23 F 0.789 0.789 0.578
24 F 0.337 0.801 0.061
25 F 0.801 0.337 0.061
26 F 0.320 0.823 0.559
27 F 0.053 0.558 0.813

Entry 6:
Compound: LiV2OF7
Source: the Materials Project
Functional: GGA+U
Structure: relaxed

Computed properties:
Crystal system ... monoclinic
Uncorrected energy ... -63.66 eV/cell
ΔE_f ... -2.96 eV per atom

Lattice parameters (Å, degrees): 5.637 5.637 5.679 104.34 108.93 115.06
Fractional coordinates of all 11 atoms:
1 Li 0.762 0.777 0.539
2 V 0.005 0.482 0.000
3 V 0.518 0.996 0.000
4 O 0.768 0.074 0.842
5 F 0.752 0.433 0.185
6 F 0.252 0.924 0.177
7 F 0.271 0.561 0.832
8 F 0.753 0.510 0.729
9 F 0.219 0.976 0.729
10 F 0.770 0.995 0.297
11 F 0.301 0.527 0.297

Entry 7:
Compound: LiV2OF5
Source: the Materials Project
Functional: GGA+U
Structure: relaxed

Computed properties:
Crystal system ... triclinic
Uncorrected energy ... -664.98 eV/cell
ΔE_f ... -3.02 eV per atom

Lattice parameters (Å, degrees): 9.258 9.285 17.290 83.85 81.64 63.49
Fractional coordinates of all 108 atoms:
1 Li 0.714 0.971 0.936
2 Li 0.677 0.725 0.820
3 Li 0.815 0.702 0.438
4 Li 0.533 0.630 0.555
5 Li 0.347 0.392 0.821
6 Li 0.579 0.395 0.078
7 Li 0.481 0.367 0.437
8 Li 0.199 0.296 0.555
9 Li 0.013 0.629 0.058
10 Li 0.011 0.063 0.822
11 Li 0.247 0.060 0.078
12 Li 0.146 0.032 0.438
13 V 0.751 0.992 0.750
14 V 0.883 0.983 0.370
15 V 0.920 0.677 0.255
16 V 0.786 0.672 0.623
17 V 0.513 0.982 0.503
18 V 0.961 0.340 0.124
19 V 0.420 0.660 0.752
20 V 0.647 0.671 0.004
21 V 0.550 0.650 0.368
22 V 0.846 0.313 0.504
23 V 0.689 0.350 0.872
24 V 0.590 0.337 0.256
25 V 0.297 0.676 0.123
26 V 0.452 0.336 0.624
27 V 0.981 0.006 0.003
28 V 0.175 0.651 0.504
29 V 0.025 0.679 0.869
30 V 0.635 0.002 0.122
31 V 0.085 0.325 0.752
32 V 0.316 0.337 0.002
33 V 0.215 0.320 0.368
34 V 0.354 0.015 0.871
35 V 0.256 0.007 0.257
36 V 0.116 0.000 0.624
37 O 0.845 0.806 0.816
38 O 0.892 0.790 0.344
39 O 0.614 0.789 0.562
40 O 0.955 0.131 0.563
41 O 0.518 0.467 0.812
42 O 0.454 0.667 0.040
43 O 0.559 0.456 0.343
44 O 0.281 0.457 0.562
45 O 0.779 0.008 0.032
46 O 0.184 0.134 0.812
47 O 0.116 0.347 0.041
48 O 0.224 0.125 0.344
49 F 0.794 0.865 0.657
50 F 0.880 0.682 0.969
51 F 0.949 0.657 0.525
52 F 0.534 0.983 0.785
53 F 0.811 0.876 0.186
54 F 0.971 0.528 0.685
55 F 0.558 0.882 0.933
56 F 0.636 0.673 0.723
57 F 0.697 0.557 0.903
58 F 0.944 0.554 0.156
59 F 0.472 0.003 0.211
60 F 0.550 0.850 0.411
61 F 0.215 0.006 0.971
62 F 0.704 0.669 0.283
63 F 0.650 0.791 0.089
64 F 0.282 0.998 0.526
65 F 0.386 0.795 0.841
66 F 0.868 0.315 0.785
67 F 0.784 0.471 0.591
68 F 0.305 0.864 0.687
69 F 0.733 0.534 0.443
70 F 0.888 0.203 0.929
71 F 0.768 0.450 0.061
72 F 0.357 0.795 0.313
73 F 0.968 0.007 0.725
74 F 0.459 0.540 0.653
75 F 0.399 0.657 0.472
76 F 0.023 0.889 0.902
77 F 0.807 0.333 0.213
78 F 0.277 0.888 0.156
79 F 0.887 0.185 0.412
80 F 0.548 0.339 0.971
81 F 0.990 0.124 0.090
82 F 0.038 0.002 0.286
83 F 0.611 0.333 0.527
84 F 0.708 0.126 0.845
85 F 0.203 0.649 0.784
86 F 0.135 0.791 0.593
87 F 0.484 0.529 0.184
88 F 0.635 0.199 0.689
89 F 0.076 0.862 0.440
90 F 0.212 0.543 0.934
91 F 0.689 0.129 0.314
92 F 0.102 0.786 0.060
93 F 0.302 0.341 0.724
94 F 0.722 0.995 0.465
95 F 0.365 0.221 0.903
96 F 0.613 0.219 0.155
97 F 0.138 0.670 0.212
98 F 0.217 0.520 0.412
99 F 0.369 0.335 0.284
100 F 0.315 0.463 0.088
101 F 0.047 0.464 0.839
102 F 0.451 0.135 0.592
103 F 0.397 0.203 0.444
104 F 0.437 0.116 0.059
105 F 0.021 0.465 0.313
106 F 0.127 0.206 0.654
107 F 0.064 0.329 0.471
108 F 0.149 0.199 0.183

Entry 8:
Compound: Li6V2O5F2
Source: the Materials Project
Functional: GGA+U
Structure: relaxed

Computed properties:
Crystal system ... triclinic
Uncorrected energy ... -175.61 eV/cell
ΔE_f ... -2.49 eV per atom

Lattice parameters (Å, degrees): 5.900 5.906 9.983 97.83 91.74 119.01
Fractional coordinates of all 30 atoms:
1 Li 0.795 0.867 0.910
2 Li 0.525 0.861 0.397
3 Li 0.085 0.885 0.423
4 Li 0.316 0.870 0.905
5 Li 0.664 0.587 0.106
6 Li 0.919 0.586 0.604
7 Li 0.081 0.414 0.396
8 Li 0.336 0.413 0.894
9 Li 0.684 0.130 0.095
10 Li 0.915 0.115 0.577
11 Li 0.475 0.139 0.603
12 Li 0.205 0.133 0.090
13 V 0.203 0.620 0.122
14 V 0.445 0.616 0.625
15 V 0.555 0.384 0.375
16 V 0.797 0.380 0.878
17 O 0.500 0.758 0.022
18 O 0.261 0.757 0.529
19 O 0.736 0.732 0.493
20 O 0.351 0.482 0.251
21 O 0.002 0.737 0.009
22 O 0.998 0.263 0.991
23 O 0.649 0.518 0.749
24 O 0.264 0.268 0.507
25 O 0.739 0.243 0.471
26 O 0.500 0.242 0.978
27 F 0.866 0.499 0.243
28 F 0.134 0.501 0.757
29 F 0.346 0.996 0.256
30 F 0.654 0.004 0.744

Entry 9:
Compound: Li2V4OF12
Source: the Materials Project
Functional: GGA+U
Structure: relaxed

Computed properties:
Crystal system ... triclinic
Uncorrected energy ... -112.07 eV/cell
ΔE_f ... -3.00 eV per atom

Lattice parameters (Å, degrees): 3.954 8.296 8.575 80.90 87.50 77.33
Fractional coordinates of all 19 atoms:
1 Li 0.114 0.418 0.272
2 Li 0.928 0.565 0.721
3 V 0.073 0.830 0.356
4 V 0.884 0.185 0.014
5 V 0.099 0.800 0.004
6 V 0.928 0.186 0.627
7 O 0.006 0.969 0.145
8 F 0.993 0.023 0.482
9 F 0.571 0.828 0.358
10 F 0.163 0.642 0.214
11 F 0.793 0.339 0.162
12 F 0.382 0.203 0.005
13 F 0.120 0.668 0.544
14 F 0.890 0.376 0.470
15 F 0.598 0.800 0.989
16 F 0.180 0.627 0.873
17 F 0.853 0.340 0.797
18 F 0.432 0.181 0.633
19 F 0.991 0.020 0.833

Entry 10:
Compound: LiV3O4F2
Source: the Materials Project
Functional: GGA+U
Structure: relaxed

Computed properties:
Crystal system ... triclinic
Uncorrected energy ... -70.70 eV/cell
ΔE_f ... -2.67 eV per atom

Lattice parameters (Å, degrees): 5.176 5.667 5.170 118.43 61.05 118.96
Fractional coordinates of all 10 atoms:
1 Li 0.830 0.599 0.892
2 V 0.162 0.422 0.138
3 V 0.668 0.990 0.646
4 V 0.375 0.062 0.345
5 O 0.064 0.208 0.410
6 O 0.507 0.753 0.287
7 O 0.762 0.231 0.054
8 O 0.443 0.250 0.754
9 F 0.261 0.747 0.928
10 F 0.927 0.738 0.546

Entry 11:
Compound: Li2V3O4F4
Source: the Materials Project
Functional: GGA+U
Structure: relaxed

Computed properties:
Crystal system ... monoclinic
Uncorrected energy ... -171.01 eV/cell
Maximum piezoelectric response ... 1.658 C/m²
ΔE_f ... -2.82 eV per atom

Lattice parameters (Å, degrees): 5.010 10.253 6.113 72.67 90.00 91.85
Fractional coordinates of all 26 atoms:
1 Li 0.064 0.541 0.104
2 Li 0.064 0.541 0.605
3 Li 0.969 0.141 0.054
4 Li 0.967 0.142 0.554
5 V 0.030 0.857 0.946
6 V 0.030 0.857 0.447
7 V 0.469 0.369 0.190
8 V 0.469 0.369 0.691
9 V 0.529 0.645 0.302
10 V 0.529 0.646 0.802
11 O 0.291 0.476 0.887
12 O 0.291 0.476 0.387
13 O 0.309 0.713 0.019
14 O 0.309 0.713 0.518
15 O 0.693 0.541 0.105
16 O 0.693 0.541 0.604
17 O 0.814 0.768 0.741
18 O 0.815 0.768 0.241
19 F 0.170 0.239 0.256
20 F 0.170 0.239 0.755
21 F 0.229 0.948 0.651
22 F 0.228 0.949 0.151
23 F 0.664 0.279 0.985
24 F 0.664 0.278 0.486
25 F 0.832 0.023 0.364
26 F 0.832 0.023 0.863